[1]
LiSm6B3O14 | GGA-PBE | optimized geometry

Structure (extended XYZ):
```
96
Lattice="15.9113 0.0000 0.0000 0.0000 8.6130 0.0000 0.0000 8.2397 9.1091" Properties=species:S:1:pos:R:3 pbc="T T T"
Li 9.6056 11.2078 4.0074
Li 6.3057 5.6448 5.1017
Li 1.6500 1.5250 0.5472
Li 14.2614 15.3277 8.5620
Sm 13.0793 7.2790 2.7896
Sm 2.8320 9.5737 6.3196
Sm 5.1237 5.4539 1.7650
Sm 10.7877 11.3988 7.3442
Sm 5.1744 8.9382 0.4949
Sm 10.7369 7.9145 8.6142
Sm 13.1301 3.7947 4.0596
Sm 2.7813 13.0580 5.0495
Sm 5.6698 10.8005 3.8629
Sm 10.2416 6.0522 5.2462
Sm 13.6254 1.9323 0.6916
Sm 2.2859 14.9204 8.4175
Sm 8.1748 8.0600 2.5798
Sm 7.7365 8.7927 6.5293
Sm 0.2191 4.6729 1.9747
Sm 15.6922 12.1798 7.1344
Sm 8.0240 2.5577 0.5661
Sm 7.8873 14.2950 8.5430
Sm 0.0683 10.1752 3.9885
Sm 15.8430 6.6775 5.1207
Sm 10.5929 4.9160 1.5174
Sm 5.3185 11.9367 7.5918
Sm 2.6372 7.8169 3.0372
Sm 13.2741 9.0358 6.0720
B 13.1571 4.9092 0.2453
B 2.7542 11.9435 8.8638
B 5.2015 7.8236 4.3093
B 10.7099 9.0291 4.7999
B 15.8999 8.0119 1.3161
B 0.0114 8.8408 7.7930
B 7.9442 4.7209 3.2385
B 7.9671 12.1318 5.8707
B 11.0276 10.0778 2.0157
B 4.8837 6.7749 7.0934
B 3.0720 2.6551 2.5389
B 12.8394 14.1976 6.5703
O 11.9412 9.0841 1.6239
O 3.9701 7.7686 7.4852
O 3.9855 3.6488 2.9306
O 11.9258 13.2039 6.1785
O 7.4364 10.9133 5.4224
O 8.4750 5.9394 3.6867
O 15.3920 10.0592 8.2413
O 0.5193 6.7935 0.8678
O 6.6981 9.8636 2.0083
O 9.2133 6.9891 7.1008
O 14.6537 2.8693 2.5463
O 1.2576 13.9834 6.5629
O 14.5711 8.3117 1.0729
O 1.3403 8.5410 8.0363
O 6.6154 4.4212 3.4817
O 9.2959 12.4315 5.6275
O 14.4939 4.6012 0.0894
O 1.4174 12.2515 9.0197
O 6.5383 8.1316 4.4652
O 9.3731 8.7211 4.6440
O 12.6717 6.1322 0.6779
O 3.2396 10.7205 8.4312
O 4.7161 6.6007 3.8766
O 11.1953 10.2520 5.2325
O 7.1535 13.0165 6.5466
O 8.7578 3.8362 2.5626
O 15.1092 7.9560 7.1171
O 0.8021 8.8967 1.9920
O 9.5174 6.9167 0.9606
O 6.3939 9.9360 8.1485
O 1.5618 5.8161 3.5939
O 14.3496 11.0366 5.5152
O 14.4897 8.3637 4.2275
O 1.4217 8.4889 4.8816
O 6.5340 4.3691 0.3271
O 9.3773 12.4836 8.7821
O 6.5920 7.1696 1.1253
O 9.3194 9.6830 7.9838
O 14.5476 5.5632 3.4292
O 1.3637 11.2895 5.6799
O 3.6939 7.2340 1.1059
O 12.2174 9.6187 8.0033
O 11.6496 5.4988 3.4487
O 4.2618 11.3539 5.6604
O 3.5737 10.0529 2.0926
O 12.3376 6.7998 7.0166
O 11.5294 2.6799 2.4620
O 4.3820 14.1728 6.6471
O 9.6808 9.8233 1.8328
O 6.2305 7.0294 7.2763
O 1.7252 2.9096 2.7218
O 14.1862 13.9431 6.3874
O 12.2293 3.8951 0.0355
O 3.6820 12.9576 9.0736
O 4.2736 8.8378 4.5190
O 11.6377 8.0149 4.5901
```

- Space-group type: P2_1/c, No. 14


[2]
Li2SnBO4 | GGA-PBE | optimized geometry

Structure (extended XYZ):
```
32
Lattice="5.1202 0.0000 0.0000 0.0000 7.4874 0.0000 0.0000 1.4905 10.1623" Properties=species:S:1:pos:R:3 pbc="T T T"
Li 3.3571 7.9777 8.0868
Li 4.3231 7.2324 3.0057
Li 4.2358 6.8906 5.8553
Li 3.4444 6.1453 0.7741
Li 1.6757 2.8326 9.3881
Li 0.8844 2.0873 4.3070
Li 0.7970 1.7455 7.1565
Li 1.7630 1.0002 2.0754
Sn 4.5038 5.0775 8.9146
Sn 1.9437 4.6457 6.3287
Sn 3.1765 4.3322 3.8335
Sn 0.6164 3.9004 1.2476
B 0.9526 7.6600 9.5292
B 1.6075 6.9147 4.4480
B 3.5126 2.0632 5.7142
B 4.1676 1.3179 0.6331
O 1.6261 8.5106 8.7253
O 0.9340 7.7654 3.6441
O 4.7076 7.3687 9.3598
O 2.9726 6.6235 4.2787
O 0.8991 6.2517 5.4938
O 3.3495 5.7183 7.3973
O 1.6609 5.5065 0.4126
O 4.3308 4.9730 2.3162
O 0.7894 4.0049 7.8461
O 3.4592 3.4714 9.7496
O 1.7707 3.2596 2.7649
O 4.2210 2.7262 4.6685
O 2.1475 2.3544 5.8836
O 0.4126 1.6092 0.8025
O 4.1862 1.2125 6.5181
O 3.4941 0.4673 1.4370
```

- Space-group type: P2_1/c, No. 14


[3]
Li3SnB5O10 | GGA-PBE | optimized geometry

Structure (extended XYZ):
```
38
Lattice="-0.8539 4.8399 4.7614 -6.9205 2.1097 -0.2036 -2.7762 -4.9495 7.7786" Properties=species:S:1:pos:R:3 pbc="T T T"
Li -4.8363 0.6015 2.6923
Li -1.2253 2.7808 4.8300
Li -2.5424 -1.7656 3.8531
Li -8.0083 3.7657 8.4834
Li -9.3254 -0.7807 7.5065
Li -5.7143 1.3986 9.6441
Sn -6.2967 -2.0347 7.7027
Sn -4.2539 4.0348 4.6337
B -6.3915 2.5660 1.7805
B -7.4582 2.0070 3.9702
B -7.2896 0.4812 5.9737
B -1.8953 0.5951 2.1622
B -6.8788 2.8730 6.2924
B -3.6719 -0.8729 6.0441
B -8.6553 1.4050 10.1743
B -3.2611 1.5189 6.3627
B -3.0925 -0.0069 8.3662
B -4.1591 -0.5659 10.5559
O -5.3803 2.6049 0.8974
O -7.5646 0.6724 4.6132
O -6.2987 1.9874 3.0281
O -7.6021 -0.7286 6.5058
O -3.1050 0.6949 1.5264
O -7.3324 3.0798 4.9675
O -3.8790 -1.8846 5.2119
O -8.7409 1.9350 8.9111
O -6.7267 1.5208 6.7045
O -9.8496 0.9890 10.7987
O -0.7011 1.0111 1.5378
O -3.8240 0.4793 5.6319
O -1.8097 0.0651 3.4253
O -6.6716 3.8847 7.1245
O -3.2183 -1.0798 7.3689
O -7.4456 1.3052 10.8100
O -2.9485 2.7287 5.8306
O -4.2519 0.0127 9.3083
O -2.9861 1.3277 7.7232
O -5.1703 -0.6048 11.4390
```

- Space-group type: P-1, No. 2


Number 1: calculated density 6.20 g/cm³, calculated total energy -8.11 eV/atom, energy with MP2020 corrections -8.52 eV per atom. Number 2: calculated density 3.54 g/cm³, calculated total energy -6.28 eV/atom, energy with MP2020 corrections -6.62 eV per atom. Number 3: calculated density 2.66 g/cm³, calculated total energy -7.13 eV/atom, energy with MP2020 corrections -7.49 eV per atom.